No. 1
Compound: NaIrN2
Source: Materials Project
Functional: PBE
Structure: optimized geometry

Properties
ΔH_f (0 K): 0.176 eV per atom
VASP energy: -406.51 eV for the cell shown
Volume: 952 Å³ per cell
Space group: No. 61

Cell and atoms, written as POSCAR:
```
NaIrN2
1.0
5.561 0.000 0.000
0.000 11.215 0.000
0.000 0.000 15.260
Na Ir N
16 16 32
Direct
0.227 0.001 0.053
0.227 0.499 0.553
0.240 0.725 0.182
0.240 0.775 0.682
0.260 0.225 0.182
0.260 0.275 0.682
0.273 0.501 0.053
0.273 0.999 0.553
0.727 0.001 0.447
0.727 0.499 0.947
0.740 0.725 0.318
0.740 0.775 0.818
0.760 0.225 0.318
0.760 0.275 0.818
0.773 0.501 0.447
0.773 0.999 0.947
0.201 0.519 0.805
0.201 0.981 0.305
0.250 0.230 0.434
0.250 0.270 0.934
0.250 0.730 0.434
0.250 0.770 0.934
0.299 0.019 0.805
0.299 0.481 0.305
0.701 0.519 0.695
0.701 0.981 0.195
0.750 0.230 0.066
0.750 0.270 0.566
0.750 0.730 0.066
0.750 0.770 0.566
0.799 0.019 0.695
0.799 0.481 0.195
0.001 0.678 0.510
0.001 0.822 0.010
0.040 0.021 0.199
0.040 0.479 0.699
0.090 0.087 0.395
0.090 0.413 0.895
0.163 0.685 0.830
0.163 0.815 0.330
0.337 0.185 0.830
0.337 0.315 0.330
0.410 0.587 0.395
0.410 0.913 0.895
0.460 0.521 0.199
0.460 0.979 0.699
0.499 0.178 0.510
0.499 0.322 0.010
0.501 0.678 0.990
0.501 0.822 0.490
0.540 0.021 0.301
0.540 0.479 0.801
0.590 0.087 0.105
0.590 0.413 0.605
0.663 0.685 0.670
0.663 0.815 0.170
0.837 0.185 0.670
0.837 0.315 0.170
0.910 0.587 0.105
0.910 0.913 0.605
0.960 0.521 0.301
0.960 0.979 0.801
0.999 0.178 0.990
0.999 0.322 0.490
```


No. 2
Compound: CoGe
Source: Materials Project
Functional: PBE
Structure: optimized geometry

Properties
ΔH_f (0 K): -0.212 eV per atom
VASP energy: -48.62 eV for the cell shown
Volume: 100 Å³ per cell
Space group: No. 198

Cell and atoms, written as POSCAR:
```
CoGe
1.0
4.640 0.000 0.000
0.000 4.640 0.000
0.000 0.000 4.640
Co Ge
4 4
Direct
0.136 0.136 0.136
0.364 0.864 0.636
0.636 0.364 0.864
0.864 0.636 0.364
0.160 0.340 0.660
0.340 0.660 0.160
0.660 0.160 0.340
0.840 0.840 0.840
```


No. 3
Compound: ScGePd
Source: Materials Project
Functional: PBE
Structure: optimized geometry

Properties
ΔH_f (0 K): -0.934 eV per atom
VASP energy: -56.82 eV for the cell shown
Volume: 157 Å³ per cell
Space group: No. 189

Cell and atoms, written as POSCAR:
```
ScGePd
1.0
6.756 0.000 0.000
-3.378 5.851 0.000
0.000 0.000 3.969
Sc Ge Pd
3 3 3
Direct
0.000 0.577 0.000
0.423 0.423 0.000
0.577 0.000 0.000
0.000 0.000 0.000
0.333 0.667 0.500
0.667 0.333 0.500
0.000 0.249 0.500
0.249 0.000 0.500
0.751 0.751 0.500
```


No. 4
Compound: Nb2SeF14
Source: Materials Project
Functional: PBE
Structure: optimized geometry

Properties
ΔH_f (0 K): -2.991 eV per atom
VASP energy: -379.52 eV for the cell shown
Volume: 1210 Å³ per cell
Space group: No. 14

Cell and atoms, written as POSCAR:
```
Nb2SeF14
1.0
7.824 0.000 0.000
0.000 17.597 0.000
-2.155 0.000 8.788
Nb Se F
8 4 56
Direct
0.216 0.039 0.328
0.216 0.461 0.828
0.221 0.681 0.228
0.221 0.819 0.728
0.779 0.181 0.272
0.779 0.319 0.772
0.784 0.539 0.172
0.784 0.961 0.672
0.165 0.137 0.871
0.165 0.363 0.371
0.835 0.637 0.629
0.835 0.863 0.129
0.010 0.601 0.176
0.010 0.899 0.676
0.028 0.743 0.662
0.028 0.757 0.162
0.047 0.544 0.742
0.047 0.956 0.242
0.157 0.678 0.419
0.157 0.822 0.919
0.178 0.076 0.116
0.178 0.424 0.616
0.179 0.167 0.692
0.179 0.333 0.192
0.204 0.012 0.527
0.204 0.488 0.027
0.217 0.662 0.021
0.217 0.838 0.521
0.319 0.067 0.872
0.319 0.433 0.372
0.320 0.201 0.968
0.320 0.299 0.468
0.346 0.128 0.393
0.346 0.372 0.893
0.381 0.601 0.295
0.381 0.899 0.795
0.392 0.742 0.767
0.392 0.758 0.267
0.408 0.524 0.820
0.408 0.976 0.320
0.592 0.024 0.680
0.592 0.476 0.180
0.608 0.242 0.733
0.608 0.258 0.233
0.619 0.101 0.205
0.619 0.399 0.705
0.654 0.628 0.107
0.654 0.872 0.607
0.680 0.701 0.532
0.680 0.799 0.032
0.681 0.567 0.628
0.681 0.933 0.128
0.783 0.162 0.479
0.783 0.338 0.979
0.796 0.512 0.973
0.796 0.988 0.473
0.821 0.667 0.808
0.821 0.833 0.308
0.822 0.576 0.384
0.822 0.924 0.884
0.843 0.178 0.081
0.843 0.322 0.581
0.953 0.044 0.758
0.953 0.456 0.258
0.972 0.243 0.838
0.972 0.257 0.338
0.990 0.101 0.324
0.990 0.399 0.824
```


No. 5
Compound: Na6Bi2PC4O16
Source: Materials Project
Functional: PBE
Structure: optimized geometry

Properties
ΔH_f (0 K): -2.010 eV per atom
VASP energy: -369.03 eV for the cell shown
Volume: 782 Å³ per cell
Space group: No. 203

Cell and atoms, written as POSCAR:
```
Na6Bi2PC4O16
1.0
0.000 7.312 7.312
7.312 0.000 7.312
7.312 7.312 0.000
Na Bi P C O
12 4 2 8 32
Direct
0.070 0.070 0.680
0.070 0.680 0.070
0.070 0.680 0.680
0.320 0.320 0.930
0.320 0.930 0.320
0.320 0.930 0.930
0.680 0.070 0.070
0.680 0.070 0.680
0.680 0.680 0.070
0.930 0.320 0.320
0.930 0.320 0.930
0.930 0.930 0.320
0.000 0.500 0.500
0.500 0.000 0.500
0.500 0.500 0.000
0.500 0.500 0.500
0.125 0.125 0.125
0.875 0.875 0.875
0.273 0.273 0.273
0.273 0.273 0.682
0.273 0.682 0.273
0.318 0.727 0.727
0.682 0.273 0.273
0.727 0.318 0.727
0.727 0.727 0.318
0.727 0.727 0.727
0.063 0.063 0.063
0.063 0.063 0.310
0.063 0.310 0.063
0.144 0.280 0.681
0.144 0.396 0.280
0.144 0.681 0.396
0.280 0.144 0.396
0.280 0.396 0.681
0.280 0.681 0.144
0.310 0.063 0.063
0.319 0.604 0.856
0.319 0.720 0.604
0.319 0.856 0.720
0.396 0.144 0.681
0.396 0.280 0.144
0.396 0.681 0.280
0.604 0.319 0.720
0.604 0.720 0.856
0.604 0.856 0.319
0.681 0.144 0.280
0.681 0.280 0.396
0.681 0.396 0.144
0.690 0.937 0.937
0.720 0.319 0.856
0.720 0.604 0.319
0.720 0.856 0.604
0.856 0.319 0.604
0.856 0.604 0.720
0.856 0.720 0.319
0.937 0.690 0.937
0.937 0.937 0.690
0.937 0.937 0.937
```


No. 6
Compound: GdCoC2
Source: Materials Project
Functional: PBE
Structure: optimized geometry

Properties
ΔH_f (0 K): -0.320 eV per atom
VASP energy: -40.92 eV for the cell shown
Volume: 49 Å³ per cell
Space group: No. 38

Cell and atoms, written as POSCAR:
```
GdCoC2
1.0
3.634 0.000 0.000
0.000 2.259 3.014
0.000 -2.259 3.014
Gd Co C
1 1 2
Direct
0.000 0.000 0.000
0.500 0.614 0.614
0.500 0.152 0.457
0.500 0.457 0.152
```


No. 7
Compound: Hf2Al3
Source: Materials Project
Functional: PBE
Structure: optimized geometry

Properties
ΔH_f (0 K): -0.427 eV per atom
VASP energy: -66.57 eV for the cell shown
Volume: 182 Å³ per cell
Space group: No. 43

Cell and atoms, written as POSCAR:
```
Hf2Al3
1.0
0.000 6.910 2.765
4.774 0.000 2.765
4.774 6.910 0.000
Hf Al
4 6
Direct
0.132 0.868 0.262
0.512 0.988 0.382
0.868 0.132 0.738
0.988 0.512 0.118
0.131 0.131 0.869
0.381 0.381 0.119
0.462 0.556 0.309
0.556 0.462 0.673
0.577 0.941 0.694
0.941 0.577 0.788
```


No. 8
Compound: KZnBH4Cl2
Source: Materials Project
Functional: PBE
Structure: optimized geometry

Properties
ΔH_f (0 K): -0.788 eV per atom
VASP energy: -64.36 eV for the cell shown
Volume: 336 Å³ per cell
Space group: No. 11

Cell and atoms, written as POSCAR:
```
KZnBH4Cl2
1.0
6.880 0.000 0.000
0.000 6.185 0.000
-1.585 0.000 7.888
K Zn B H Cl
2 2 2 8 4
Direct
0.009 0.250 0.254
0.991 0.750 0.746
0.473 0.250 0.662
0.527 0.750 0.338
0.304 0.750 0.102
0.696 0.250 0.898
0.129 0.750 0.102
0.359 0.750 0.967
0.369 0.579 0.177
0.369 0.921 0.177
0.631 0.079 0.823
0.631 0.421 0.823
0.641 0.250 0.033
0.871 0.250 0.898
0.148 0.250 0.664
0.462 0.750 0.602
0.538 0.250 0.398
0.852 0.750 0.336
```


No. 9
Compound: SrMg14CdO16
Source: Materials Project
Functional: PBE
Structure: optimized geometry

Properties
ΔH_f (0 K): -2.828 eV per atom
VASP energy: -183.67 eV for the cell shown
Volume: 340 Å³ per cell
Polymorph energy (0 for the lowest one): 0.013 eV per atom
Space group: No. 47

Cell and atoms, written as POSCAR:
```
SrMg14CdO16
1.0
4.438 0.000 0.000
0.000 8.717 0.000
0.000 0.000 8.791
Sr Mg Cd O
1 14 1 16
Direct
0.000 0.000 0.000
0.000 0.258 0.254
0.000 0.258 0.746
0.000 0.500 0.000
0.000 0.500 0.500
0.000 0.742 0.254
0.000 0.742 0.746
0.500 0.000 0.255
0.500 0.000 0.745
0.500 0.256 0.500
0.500 0.260 0.000
0.500 0.500 0.251
0.500 0.500 0.749
0.500 0.740 0.000
0.500 0.744 0.500
0.000 0.000 0.500
0.000 0.000 0.258
0.000 0.000 0.742
0.000 0.269 0.500
0.000 0.272 0.000
0.000 0.500 0.251
0.000 0.500 0.749
0.000 0.728 0.000
0.000 0.731 0.500
0.500 0.000 0.000
0.500 0.000 0.500
0.500 0.250 0.250
0.500 0.250 0.750
0.500 0.500 0.000
0.500 0.500 0.500
0.500 0.750 0.250
0.500 0.750 0.750
```


No. 10
Compound: NdCo4B4
Source: Materials Project
Functional: PBE
Structure: optimized geometry

Properties
ΔH_f (0 K): -0.462 eV per atom
VASP energy: -128.15 eV for the cell shown
Volume: 191 Å³ per cell
Space group: No. 86

Cell and atoms, written as POSCAR:
```
NdCo4B4
1.0
7.080 0.000 0.000
0.000 7.080 0.000
0.000 0.000 3.803
Nd Co B
2 8 8
Direct
0.250 0.250 0.250
0.750 0.750 0.750
0.107 0.635 0.144
0.135 0.893 0.644
0.365 0.607 0.644
0.393 0.865 0.144
0.607 0.135 0.856
0.635 0.393 0.356
0.865 0.107 0.356
0.893 0.365 0.856
0.045 0.912 0.147
0.088 0.545 0.647
0.412 0.955 0.647
0.455 0.588 0.147
0.545 0.412 0.853
0.588 0.045 0.353
0.912 0.455 0.353
0.955 0.088 0.853
```